# 1
A plane-wave DFT calculation with GGA-PBE was carried out for a relaxed Ba2Bi6O11 crystal.

Results
Total magnetization = 0.02 μB/cell
Corrected total energy (MP2020 scheme) = -114.0 eV for the cell shown
ΔE_f = -1.706 eV/atom
Symmetry = C2/m

abc: 4.0133 4.0133 23.7232
angles: 88.03 88.03 67.94
Last column: nearest neighbours and their distance in Å.
Fractional coordinates of all 19 atoms:
O (0.0608, 0.0608, 0.7635)  2 Bi 2.14-2.26
O (0.3818, 0.3818, 0.8481)  3 Bi 2.22-2.43
O (0.6324, 0.6324, 0.6701)  3 Bi 2.38-2.65
O (0.1465, 0.1465, 0.0884)  3 Bi 2.22-2.39
Bi (0.2358, 0.2358, 0.6859)  3 O 2.14-2.38
O (0.1622, 0.1622, 0.5770)  3 Ba 2.43-2.45, 1 Bi 2.65
Ba (0.2017, 0.2017, 0.4359)  4 O 2.43-2.70
O (0.5000, 0.5000, 0.0000)  2 Bi 2.21
Ba (0.7983, 0.7983, 0.5641)  4 O 2.43-2.70
O (0.6182, 0.6182, 0.1519)  3 Bi 2.22-2.43
Bi (0.2182, 0.2182, 0.1788)  4 O 2.22-2.43
O (0.8378, 0.8378, 0.4230)  3 Ba 2.43-2.45, 1 Bi 2.65
O (0.3676, 0.3676, 0.3299)  3 Bi 2.38-2.65
O (0.9392, 0.9392, 0.2365)  2 Bi 2.14-2.26
Bi (0.7818, 0.7818, 0.8212)  4 O 2.22-2.43
O (0.8535, 0.8535, 0.9116)  3 Bi 2.22-2.39
Bi (0.7642, 0.7642, 0.3141)  3 O 2.14-2.38
Bi (0.2642, 0.2642, 0.9372)  4 O 2.21-2.39
Bi (0.7358, 0.7358, 0.0628)  4 O 2.21-2.39


# 2
A plane-wave DFT calculation with GGA-PBE was carried out for a relaxed PrGaGe2O7 crystal.

Results
Total magnetization = 0.00 μB/cell
Corrected total energy (MP2020 scheme) = -320.6 eV for the cell shown
ΔE_f = -2.587 eV/atom
Symmetry = P2_1/c

abc: 6.6829 7.3962 13.0804
angles: 62.33 90.00 90.00
Last column: nearest neighbours and their distance in Å.
Fractional coordinates of all 44 atoms:
O (0.0512, 0.7033, 0.6306)  1 Ge 1.76, 1 Ga 1.87
O (0.6764, 0.9076, 0.5225)  1 Ge 1.72
O (0.9970, 0.7486, 0.4261)  2 Ge 1.80-1.83
O (0.6090, 0.2763, 0.2787)  1 Ge 1.77
O (0.1617, 0.4899, 0.9190)  1 Ge 1.81, 1 Ga 1.94
Ga (0.8994, 0.2851, 0.2315)  5 O 1.87-2.03
Ga (0.3994, 0.7149, 0.2685)  5 O 1.87-2.03
O (0.3910, 0.7237, 0.7213)  1 Ge 1.77
O (0.1090, 0.7237, 0.2213)  1 Ge 1.77
O (0.8236, 0.9076, 0.0225)  1 Ge 1.72
Ge (0.9113, 0.8004, 0.2821)  4 O 1.77-1.83
O (0.1265, 0.9329, 0.8043)  1 Ge 1.78, 1 Ga 1.88
O (0.8123, 0.6564, 0.8147)  1 Ge 1.77
O (0.6265, 0.0671, 0.6957)  1 Ge 1.78, 1 Ga 1.88
Ge (0.5887, 0.8004, 0.7821)  4 O 1.77-1.83
O (0.3735, 0.9329, 0.3043)  1 Ge 1.78, 1 Ga 1.88
Ge (0.3414, 0.2874, 0.9533)  4 O 1.72-1.81
Ge (0.6586, 0.7126, 0.0467)  4 O 1.72-1.81
O (0.8735, 0.0671, 0.1957)  1 Ge 1.78, 1 Ga 1.88
Ge (0.8414, 0.7126, 0.5467)  4 O 1.72-1.81
O (0.1877, 0.3436, 0.1853)  1 Ge 1.77
Ga (0.1006, 0.7149, 0.7685)  5 O 1.87-2.03
O (0.3236, 0.0924, 0.4775)  1 Ge 1.72
O (0.3383, 0.4899, 0.4190)  1 Ge 1.81, 1 Ga 1.94
O (0.5030, 0.7486, 0.9261)  2 Ge 1.80-1.83
Ge (0.0887, 0.1996, 0.7179)  4 O 1.77-1.83
O (0.6617, 0.5101, 0.5810)  1 Ge 1.81, 1 Ga 1.94
O (0.1764, 0.0924, 0.9775)  1 Ge 1.72
O (0.3123, 0.3436, 0.6853)  1 Ge 1.77
Ge (0.4113, 0.1996, 0.2179)  4 O 1.77-1.83
O (0.0030, 0.2514, 0.5739)  2 Ge 1.80-1.83
Ge (0.1586, 0.2874, 0.4533)  4 O 1.72-1.81
O (0.4970, 0.2514, 0.0739)  2 Ge 1.80-1.83
Pr (0.6464, 0.2608, 0.4745)  6 O 2.39-2.57
Pr (0.1464, 0.7392, 0.0255)  6 O 2.39-2.57
O (0.8383, 0.5101, 0.0810)  1 Ge 1.81, 1 Ga 1.94
Ga (0.6006, 0.2851, 0.7315)  5 O 1.87-2.03
Pr (0.8536, 0.2608, 0.9745)  6 O 2.39-2.57
O (0.5512, 0.2967, 0.8694)  1 Ge 1.76, 1 Ga 1.87
Pr (0.3536, 0.7392, 0.5255)  6 O 2.39-2.57
O (0.8910, 0.2763, 0.7787)  1 Ge 1.77
O (0.9488, 0.2967, 0.3694)  1 Ge 1.76, 1 Ga 1.87
O (0.6877, 0.6564, 0.3147)  1 Ge 1.77
O (0.4488, 0.7033, 0.1306)  1 Ge 1.76, 1 Ga 1.87


# 3
A plane-wave DFT calculation with GGA-PBE was carried out for a relaxed CeSe2 crystal.

Results
Total magnetization = 0.00 μB/cell
Corrected total energy (MP2020 scheme) = -135.2 eV for the cell shown
ΔE_f = -1.324 eV/atom
Symmetry = Pban

abc: 6.0744 15.5908 15.7428
angles: 90.00 90.00 90.00
Last column: nearest neighbours and their distance in Å.
Fractional coordinates of all 24 atoms:
Ce (0.3317, 0.3413, 0.6169)  4 Se 2.71-2.75
Se (0.5000, 0.7318, 0.0000)  2 Ce 2.71
Se (0.5000, 0.5000, 0.6501)  2 Ce 2.73
Se (0.5000, 0.2500, 0.2500)  2 Ce 2.73
Ce (0.3317, 0.6587, 0.3831)  4 Se 2.71-2.75
Se (0.0000, 0.8654, 0.0000)  2 Ce 2.75
Se (0.5000, 0.7500, 0.2500)  2 Ce 2.73
Ce (0.6683, 0.1587, 0.8831)  4 Se 2.71-2.75
Se (0.5000, 0.2500, 0.7500)  2 Ce 2.73
Se (0.5000, 0.7500, 0.7500)  2 Ce 2.73
Se (0.5000, 0.5000, 0.3499)  2 Ce 2.73
Se (0.0000, 0.3654, 0.5000)  2 Ce 2.75
Ce (0.3317, 0.8413, 0.8831)  4 Se 2.71-2.75
Se (0.5000, 0.2318, 0.5000)  2 Ce 2.71
Se (0.5000, 0.0000, 0.1501)  2 Ce 2.73
Se (0.5000, 0.0000, 0.8499)  2 Ce 2.73
Se (0.0000, 0.6346, 0.5000)  2 Ce 2.75
Ce (0.6683, 0.8413, 0.1169)  4 Se 2.71-2.75
Se (0.5000, 0.7682, 0.5000)  2 Ce 2.71
Se (0.0000, 0.1346, 0.0000)  2 Ce 2.75
Se (0.5000, 0.2682, 0.0000)  2 Ce 2.71
Ce (0.3317, 0.1587, 0.1169)  4 Se 2.71-2.75
Ce (0.6683, 0.3413, 0.3831)  4 Se 2.71-2.75
Ce (0.6683, 0.6587, 0.6169)  4 Se 2.71-2.75


# 4
A plane-wave DFT calculation with GGA-PBE was carried out for a relaxed Sb2O5 crystal.

Results
Total magnetization = 0.00 μB/cell
Polymorph energy (0 for the lowest one) = 86 meV/atom
Corrected total energy (MP2020 scheme) = -89.3 eV for the cell shown
ΔE_f = -1.662 eV/atom
Symmetry = Pmmn

abc: 3.8405 3.9694 12.9722
angles: 90.00 90.00 90.00
Last column: nearest neighbours and their distance in Å.
Fractional coordinates of all 14 atoms:
Sb (0.5079, 0.5000, 0.1480)  6 O 1.92-2.13
O (0.5048, 0.0000, 0.1879)  3 Sb 2.05-2.13
O (0.0085, 0.5000, 0.1536)  2 Sb 1.92
Sb (0.4921, 0.0000, 0.3520)  6 O 1.92-2.13
O (0.5316, 0.5000, 0.0000)  2 Sb 1.92
O (0.5048, 0.0000, 0.8121)  3 Sb 2.05-2.13
O (0.9915, 0.0000, 0.6536)  2 Sb 1.92
O (0.4952, 0.5000, 0.3121)  3 Sb 2.05-2.13
Sb (0.5079, 0.5000, 0.8520)  6 O 1.92-2.13
O (0.4684, 0.0000, 0.5000)  2 Sb 1.92
O (0.9915, 0.0000, 0.3464)  2 Sb 1.92
O (0.4952, 0.5000, 0.6879)  3 Sb 2.05-2.13
O (0.0085, 0.5000, 0.8464)  2 Sb 1.92
Sb (0.4921, 0.0000, 0.6480)  6 O 1.92-2.13


# 5
A plane-wave DFT calculation with GGA-PBE was carried out for a relaxed LaPO4 crystal.

Results
Total magnetization = 0.00 μB/cell
Corrected total energy (MP2020 scheme) = -102.1 eV for the cell shown
ΔE_f = -3.482 eV/atom
Symmetry = I4_1/amd

abc: 6.0529 6.0529 6.0529
angles: 105.94 105.94 116.79
Last column: nearest neighbours and their distance in Å.
Fractional coordinates of all 12 atoms:
P (0.5000, 0.5000, 0.0000)  4 O 1.56
P (0.7500, 0.2500, 0.5000)  4 O 1.56
O (0.3492, 0.5178, 0.1686)  1 P 1.56
O (0.4306, 0.0992, 0.3314)  1 P 1.56
O (0.7678, 0.0992, 0.6686)  1 P 1.56
O (0.3492, 0.1806, 0.8314)  1 P 1.56
O (0.8194, 0.6508, 0.1686)  1 P 1.56
La (0.0000, 0.0000, 0.0000)  8 O 2.50-2.53
La (0.2500, 0.7500, 0.5000)  8 O 2.50-2.53
O (0.9008, 0.2322, 0.3314)  1 P 1.56
O (0.4822, 0.6508, 0.8314)  1 P 1.56
O (0.9008, 0.5694, 0.6686)  1 P 1.56


# 6
A plane-wave DFT calculation with GGA-PBE was carried out for a relaxed CeGa2Pd2 crystal.

Results
ΔE_f = -0.766 eV/atom
Symmetry = P4/nmm

abc: 4.3144 4.3144 10.3788
angles: 90.00 90.00 90.00
Last column: nearest neighbours and their distance in Å.
Fractional coordinates of all 10 atoms:
Pd (0.5000, 0.0000, 0.3688)  5 Ga 2.49-2.55
Pd (0.0000, 0.5000, 0.6312)  5 Ga 2.49-2.55
Ga (0.5000, 0.5000, 0.5000)  4 Pd 2.55
Ga (0.0000, 0.5000, 0.8711)  5 Pd 2.49-2.54
Ce (0.0000, 0.5000, 0.2543)  8 Pd 3.27-3.41, 8 Ga 3.32-3.34
Ga (0.0000, 0.0000, 0.5000)  4 Pd 2.55
Ga (0.5000, 0.0000, 0.1289)  5 Pd 2.49-2.54
Pd (0.0000, 0.0000, 0.0000)  4 Ga 2.54
Pd (0.5000, 0.5000, 0.0000)  4 Ga 2.54
Ce (0.5000, 0.0000, 0.7457)  8 Pd 3.27-3.41, 8 Ga 3.32-3.34


# 7
A plane-wave DFT calculation with GGA-PBE was carried out for a relaxed Rb2H8O5 crystal.

Results
Total magnetization = 0.00 μB/cell
Corrected total energy (MP2020 scheme) = -297.1 eV for the cell shown
ΔE_f = -1.362 eV/atom
Symmetry = Cc

abc: 8.4041 8.4041 14.9995
angles: 63.88 63.88 53.11
Last column: nearest neighbours and their distance in Å.
Fractional coordinates of all 60 atoms:
Rb (0.8686, 0.8787, 0.5585)  8 H 2.91-3.25, 6 O 2.94-3.16
H (0.0002, 0.5852, 0.9275)  1 O 1.02
H (0.8178, 0.5575, 0.5589)  1 O 0.99
H (0.1693, 0.7412, 0.2059)  1 O 0.97
H (0.7264, 0.1328, 0.3317)  1 O 0.98
Rb (0.8787, 0.8686, 0.0585)  8 H 2.91-3.25, 6 O 2.94-3.16
O (0.7577, 0.2445, 0.1142)  2 H 0.99-1.03
H (0.5852, 0.0002, 0.4275)  1 O 1.02
H (0.5575, 0.8178, 0.0589)  1 O 0.99
O (0.7533, 0.2454, 0.8681)  2 H 0.97-1.06
O (0.0687, 0.5380, 0.4655)  1 H 0.97
O (0.6820, 0.5726, 0.6028)  1 H 0.99
O (0.7573, 0.2234, 0.6320)  1 H 0.97
H (0.9914, 0.5911, 0.2651)  1 O 0.98
H (0.3880, 0.6763, 0.3329)  1 O 0.97
H (0.1328, 0.7264, 0.8317)  1 O 0.98
H (0.1839, 0.6546, 0.4028)  1 O 1.06
H (0.6763, 0.3880, 0.8329)  1 O 0.97
H (0.8878, 0.5429, 0.7654)  1 O 0.97
O (0.2454, 0.7533, 0.3681)  2 H 0.97-1.06
O (0.5726, 0.6820, 0.1028)  1 H 0.99
H (0.6951, 0.3895, 0.1116)  1 O 0.99
H (0.8411, 0.5559, 0.0339)  1 O 0.99
H (0.8819, 0.4550, 0.2953)  1 O 1.06
O (0.2234, 0.7573, 0.1320)  1 H 0.97
H (0.5429, 0.8878, 0.2654)  1 O 0.97
O (0.9903, 0.5029, 0.0018)  2 H 0.99-1.02
O (0.0450, 0.7208, 0.8080)  1 H 0.98
O (0.4730, 0.0363, 0.2532)  2 H 0.97-1.03
H (0.5559, 0.8411, 0.5339)  1 O 0.99
H (0.3895, 0.6951, 0.6116)  1 O 0.99
H (0.4550, 0.8819, 0.7953)  1 O 1.06
O (0.5380, 0.0687, 0.9655)  1 H 0.97
Rb (0.1264, 0.1606, 0.4412)  4 H 2.87-3.18, 6 O 2.91-3.11
H (0.1693, 0.7390, 0.6906)  1 O 1.03
O (0.7804, 0.3287, 0.3630)  1 H 0.97
O (0.3287, 0.7804, 0.8630)  1 H 0.97
H (0.9830, 0.6022, 0.4187)  1 O 0.97
H (0.7390, 0.1693, 0.1906)  1 O 1.03
O (0.0363, 0.4730, 0.7532)  2 H 0.97-1.03
H (0.7412, 0.1693, 0.7059)  1 O 0.97
H (0.5555, 0.0565, 0.2773)  1 O 1.03
O (0.7208, 0.0450, 0.3080)  1 H 0.98
O (0.5125, 0.9793, 0.7386)  2 H 0.98-1.06
H (0.3976, 0.6797, 0.8242)  1 O 0.97
H (0.7085, 0.4158, 0.6175)  1 O 1.13
H (0.6797, 0.3976, 0.3242)  1 O 0.97
O (0.2445, 0.7577, 0.6142)  2 H 0.99-1.03
Rb (0.1111, 0.1163, 0.1968)  5 H 2.83-3.16, 6 O 2.95-3.12
Rb (0.3752, 0.4156, 0.0549)  4 H 2.87-3.18, 6 O 2.91-3.20
Rb (0.1163, 0.1111, 0.6968)  5 H 2.83-3.16, 6 O 2.95-3.12
Rb (0.4156, 0.3752, 0.5549)  4 H 2.87-3.18, 6 O 2.91-3.20
H (0.0565, 0.5555, 0.7773)  1 O 1.03
H (0.6546, 0.1839, 0.9028)  1 O 1.06
Rb (0.1606, 0.1264, 0.9412)  4 H 2.87-3.18, 6 O 2.91-3.11
H (0.5911, 0.9914, 0.7651)  1 O 0.98
H (0.4158, 0.7085, 0.1175)  1 O 1.13
H (0.6022, 0.9830, 0.9187)  1 O 0.97
O (0.9793, 0.5125, 0.2386)  2 H 0.98-1.06
O (0.5029, 0.9903, 0.5018)  2 H 0.99-1.02


# 8
A plane-wave DFT calculation with GGA-PBE was carried out for a relaxed Mg14TiFe crystal.

Results
Total magnetization = 0.59 μB/cell
Polymorph energy (0 for the lowest one) = 10 meV/atom
ΔE_f = 0.136 eV/atom
Symmetry = Amm2

abc: 6.2901 6.1158 9.9869
angles: 90.00 90.00 119.09
Last column: nearest neighbours and their distance in Å.
Fractional coordinates of all 16 atoms:
Mg (0.6627, 0.3293, 0.6250)  12 Mg 3.03-3.25
Mg (0.6627, 0.8334, 0.6250)  12 Mg 3.03-3.25
Mg (0.3271, 0.6595, 0.8911)  1 Fe 2.92, 1 Ti 2.97, 9 Mg 2.97-3.24
Mg (0.8441, 0.6720, 0.8747)  1 Ti 3.02, 11 Mg 3.06-3.22
Ti (0.1518, 0.8259, 0.1250)  10 Mg 2.97-3.21, 2 Fe 3.06
Mg (0.3271, 0.1676, 0.3589)  1 Fe 2.92, 1 Ti 2.97, 9 Mg 2.97-3.24
Mg (0.8539, 0.1769, 0.8925)  1 Fe 2.87, 7 Mg 2.99-3.17
Fe (0.1617, 0.3309, 0.1250)  10 Mg 2.87-3.16, 2 Ti 3.06
Mg (0.6613, 0.3360, 0.1250)  8 Mg 2.97-3.12, 2 Ti 3.08-3.21, 2 Fe 3.13-3.16
Mg (0.1689, 0.8345, 0.6250)  12 Mg 3.06-3.20
Mg (0.3271, 0.6595, 0.3589)  1 Fe 2.92, 1 Ti 2.97, 9 Mg 2.97-3.24
Mg (0.3271, 0.1676, 0.8911)  1 Fe 2.92, 1 Ti 2.97, 9 Mg 2.97-3.24
Mg (0.8441, 0.6720, 0.3753)  1 Ti 3.02, 11 Mg 3.06-3.22
Mg (0.8539, 0.1769, 0.3575)  1 Fe 2.87, 7 Mg 2.99-3.17
Mg (0.1650, 0.3325, 0.6250)  12 Mg 3.06-3.18
Mg (0.6613, 0.8253, 0.1250)  8 Mg 2.97-3.12, 2 Ti 3.08-3.21, 2 Fe 3.13-3.16